--- A ---
Ca4Al6O13 | the Materials Project database | PBE | relaxed; total moment = 0.0 Bohr magnetons per cell; SG = Pbcn, No. 60
1.0
5.3430 0.0000 0.0000
0.0000 17.8988 0.0000
0.0000 0.0000 21.2852
O Al Ca
104 48 32
Cartesian
5.3186 11.0693 18.6415
1.3412 8.8713 1.3390
3.9999 8.7777 1.3101
1.4001 17.8009 17.2777
2.7823 11.0196 0.2051
4.0146 0.1717 11.9527
4.8025 3.7465 7.9996
3.6356 12.9651 17.5417
2.7823 6.8792 10.4376
5.1785 7.0164 7.9828
0.3686 5.1332 6.0239
3.0659 14.0950 0.6843
0.0244 6.8295 2.6437
3.2119 12.6959 13.2857
3.5963 4.9656 1.5883
0.3945 5.1456 9.9583
0.0276 15.8378 5.1138
2.3029 3.8162 16.6665
3.9429 17.8009 6.6351
1.2652 0.1542 3.9865
4.8025 14.1523 2.6430
1.7073 4.9338 3.7436
0.3686 12.7656 4.6188
0.0276 2.0610 5.5288
3.0659 3.8039 9.9583
1.3303 17.8207 19.9463
4.0018 9.0276 19.9463
2.6439 6.8884 16.1714
2.5606 11.0196 10.8477
1.2714 8.8515 4.0075
4.9743 5.1332 16.6665
1.3303 0.0781 11.9816
4.3788 4.0156 3.7436
1.3284 0.1717 1.3101
3.9367 8.7953 3.9865
4.4182 13.9150 19.6969
2.8359 15.9659 13.3025
5.3154 2.0610 16.1714
2.3029 14.0826 15.2614
3.5963 12.9332 9.0543
0.5405 3.7465 18.6422
3.2119 5.2029 18.6422
2.5070 1.9330 7.9828
1.7467 4.9656 12.2309
4.9485 5.1456 20.6009
1.7073 12.9651 6.8990
4.0778 17.7447 17.2987
1.4001 0.0979 14.6501
4.0127 17.8207 9.3037
5.2321 2.0702 21.0802
1.4063 8.7953 14.6292
4.9485 12.7533 11.3269
2.6959 2.1199 2.6437
2.6471 15.7789 18.6415
2.6471 2.1199 13.2863
0.1109 15.8286 0.2051
4.0127 0.0781 1.3390
1.7467 12.9332 19.6969
0.1109 2.0702 10.4376
1.3412 9.0276 9.3037
2.1310 12.6959 2.6430
1.2652 17.7447 6.6561
1.4063 9.1036 17.2987
4.0716 8.8515 14.6501
2.6959 15.7789 7.9989
0.9641 4.0156 14.3862
5.2321 15.8286 10.8477
4.0018 8.8713 11.9816
3.0401 14.0826 4.6188
5.3154 15.8378 15.7564
4.0146 17.7271 19.9752
2.2770 14.0950 11.3269
0.5405 14.1523 13.2857
0.0244 11.0693 7.9989
0.9641 13.8832 17.5417
4.0716 9.0473 17.2777
2.6991 6.8884 5.5288
0.3945 12.7533 0.6843
4.3788 13.8832 6.8990
1.3431 9.1211 19.9752
4.9743 12.7656 15.2614
3.9367 9.1036 6.6561
2.6439 11.0104 15.7564
5.3186 6.8295 13.2863
1.3431 8.7777 11.9527
3.6356 4.9338 14.3862
0.9248 3.9838 1.5883
2.2770 3.8039 20.6009
2.6991 11.0104 5.1138
2.5070 15.9659 2.6599
2.5606 6.8792 21.0802
4.0778 0.1542 14.6292
2.8359 1.9330 18.6254
3.0401 3.8162 6.0239
2.1310 5.2029 7.9996
4.4182 3.9838 12.2309
3.9429 0.0979 4.0075
0.1645 7.0164 18.6254
1.3284 17.7271 9.3326
1.2714 9.0473 6.6351
3.9999 9.1211 9.3326
5.1785 10.8824 2.6599
0.1645 10.8824 13.3025
0.9248 13.9150 9.0543
0.3415 5.3129 7.9902
2.7573 8.9494 15.9639
2.6715 8.9494 0.0000
2.6936 0.1697 13.3021
4.8021 14.2005 0.1556
0.0127 12.8199 18.6279
2.0935 5.2475 5.4752
2.3300 3.6366 18.6328
2.3300 14.2623 13.2951
0.0000 0.0000 10.6426
2.6715 8.9494 10.6426
0.5408 14.2005 10.7982
0.0127 5.0789 13.3000
2.1306 5.2511 10.4870
5.0015 12.5860 13.2951
0.5408 3.6984 21.1296
2.0935 12.6513 5.1674
3.2495 12.6513 15.8100
5.3303 5.0789 2.6574
4.7650 3.7019 5.4752
2.6494 17.7291 7.9831
2.6588 3.8705 2.6574
2.1306 12.6478 0.1556
2.6494 0.1697 2.6595
5.0015 5.3129 18.6328
5.3209 8.7797 2.6595
2.6936 17.7291 18.6258
2.6842 14.0283 18.6279
0.5780 3.7019 16.1178
3.0130 14.2623 2.6524
5.2571 0.0000 5.3213
3.0130 3.6366 7.9902
2.6588 14.0283 7.9852
2.6842 3.8705 13.3000
0.5780 14.1969 15.8100
5.3209 9.1192 7.9831
5.3303 12.8199 7.9852
0.0221 9.1192 18.6258
0.0000 0.0000 0.0000
0.0221 8.7797 13.3021
4.8021 3.6984 10.4870
3.2123 5.2511 21.1296
0.0858 0.0000 15.9639
3.2123 12.6478 10.7982
0.3415 12.5860 2.6524
3.2495 5.2475 16.1178
2.5857 8.9494 5.3213
4.7650 14.1969 5.1674
0.0372 16.1420 18.6263
2.6342 10.7063 7.9836
2.8305 1.5576 16.0978
5.2212 10.5044 0.1215
5.1839 10.5070 5.1874
2.6169 10.4302 13.2971
5.2884 16.4181 13.2971
2.5497 16.3438 0.1215
2.7087 7.1926 13.3016
2.6342 7.1926 2.6590
0.1218 10.5044 10.7641
2.8305 16.3412 15.8300
0.0372 1.7568 13.3016
0.1218 7.3944 21.1638
2.5497 1.5550 10.5211
2.7933 1.5550 21.1638
2.7933 16.3438 10.7641
0.1590 10.5070 15.8300
5.2884 1.4808 18.6308
2.5124 1.5576 5.4552
5.1839 7.3918 5.4552
2.7087 10.7063 18.6263
5.3057 1.7568 2.6590
5.3057 16.1420 7.9836
0.0546 16.4181 2.6544
2.5124 16.3412 5.1874
0.1590 7.3918 16.0978
5.2212 7.3944 10.5211
0.0546 1.4808 7.9882
2.6169 7.4687 18.6308
2.7261 7.4687 7.9882
2.7261 10.4302 2.6544


--- B ---
Ca4Al6O13 | the Materials Project database | PBE | relaxed; SG = I-43m, No. 217
1.0
3.0372 -5.5128 4.4111
-6.1671 2.9706 3.4950
-2.0825 -2.9902 -6.7672
O Ca Al
13 4 6
Cartesian
-0.0393 -3.9802 2.2963
-1.1961 -3.8411 -0.3190
-3.1314 -0.3173 4.5390
-4.1887 -0.1558 1.8833
-2.2999 -2.2303 2.4541
-5.4394 0.8199 -0.5002
-4.2999 -0.8430 -3.3629
-0.5637 -2.6839 4.7946
0.0000 0.0000 0.0000
-2.3473 -2.8430 -2.7430
1.2777 -5.3711 0.1684
-0.1505 -4.6674 -2.9500
-3.6833 -1.5486 -0.5666
-4.2690 2.0563 2.4193
-1.6043 -1.7028 0.3505
2.1024 -3.8160 3.0534
-1.4415 -2.0699 -4.6844
-3.6274 -1.2760 3.1349
-1.5850 -4.2564 -1.9961
-0.3051 -4.8870 0.7984
-3.8861 -2.1355 -2.2252
-4.9073 -0.6453 0.3404
-1.3263 -3.3968 3.3640


We find B to be the most stable, with the next structure 0.028 eV/atom higher.